(1)
Crystalline Li3VF6 at its relaxed geometry, computed with PBE+U.

## Properties
energy above the lowest structure with this stoichiometry = 0.000 eV per atom
space group = C2/c, No. 15
ΔE_f = -3.2112 eV per atom
electronic total energy = -0.3964 Ry/atom

Cell: 8.548 8.548 10.273 Å, 95.14 95.14 62.22°
Positions (direct):
Li1 0.009 0.708 0.226
Li2 0.057 0.346 0.430
Li3 0.133 0.529 0.951
Li4 0.190 0.810 0.750
Li5 0.292 0.991 0.274
Li6 0.326 0.628 0.470
Li7 0.346 0.057 0.930
Li8 0.372 0.674 0.030
Li9 0.471 0.867 0.549
Li10 0.529 0.133 0.451
Li11 0.628 0.326 0.970
Li12 0.654 0.943 0.070
Li13 0.674 0.372 0.530
Li14 0.708 0.009 0.726
Li15 0.810 0.190 0.250
Li16 0.867 0.471 0.049
Li17 0.943 0.654 0.570
Li18 0.991 0.292 0.774
V1 0.000 0.000 0.000
V2 0.000 0.000 0.500
V3 0.336 0.340 0.706
V4 0.340 0.336 0.206
V5 0.660 0.664 0.794
V6 0.664 0.660 0.294
F1 0.070 0.075 0.169
F2 0.075 0.070 0.669
F3 0.084 0.759 0.060
F4 0.098 0.756 0.569
F5 0.103 0.434 0.113
F6 0.106 0.413 0.607
F7 0.227 0.270 0.842
F8 0.240 0.562 0.309
F9 0.241 0.916 0.440
F10 0.244 0.902 0.931
F11 0.247 0.569 0.807
F12 0.270 0.227 0.342
F13 0.407 0.434 0.064
F14 0.413 0.106 0.107
F15 0.431 0.753 0.693
F16 0.434 0.103 0.613
F17 0.434 0.407 0.564
F18 0.438 0.760 0.191
F19 0.562 0.240 0.809
F20 0.566 0.593 0.436
F21 0.566 0.897 0.387
F22 0.569 0.247 0.307
F23 0.587 0.894 0.893
F24 0.593 0.566 0.936
F25 0.730 0.773 0.658
F26 0.753 0.431 0.193
F27 0.756 0.098 0.069
F28 0.759 0.084 0.560
F29 0.760 0.438 0.691
F30 0.773 0.730 0.158
F31 0.894 0.587 0.393
F32 0.897 0.566 0.887
F33 0.902 0.244 0.431
F34 0.916 0.241 0.940
F35 0.925 0.930 0.331
F36 0.930 0.925 0.831

=====

(2)
Crystalline LiVF5 at its relaxed geometry, computed with PBE+U.

## Properties
energy above the lowest structure with this stoichiometry = 0.019 eV per atom
space group = Pna2_1, No. 33
ΔE_f = -3.0763 eV per atom
electronic total energy = -0.3999 Ry/atom

Cell: 7.711 17.286 5.778 Å, 90.00 90.00 90.00°
Positions (direct):
Li1 0.119 0.146 0.000
Li2 0.235 0.531 0.806
Li3 0.265 0.031 0.306
Li4 0.381 0.646 0.500
Li5 0.619 0.354 0.000
Li6 0.735 0.969 0.806
Li7 0.765 0.469 0.306
Li8 0.881 0.854 0.500
V1 0.061 0.356 0.009
V2 0.109 0.874 0.013
V3 0.391 0.374 0.513
V4 0.439 0.856 0.509
V5 0.561 0.144 0.009
V6 0.609 0.626 0.013
V7 0.891 0.126 0.513
V8 0.939 0.644 0.509
F1 0.010 0.783 0.014
F2 0.036 0.088 0.748
F3 0.036 0.251 0.019
F4 0.046 0.088 0.280
F5 0.107 0.622 0.733
F6 0.110 0.631 0.297
F7 0.140 0.457 0.012
F8 0.236 0.336 0.763
F9 0.237 0.965 0.028
F10 0.238 0.340 0.259
F11 0.262 0.840 0.759
F12 0.263 0.465 0.528
F13 0.264 0.836 0.263
F14 0.360 0.957 0.512
F15 0.390 0.131 0.797
F16 0.393 0.122 0.233
F17 0.454 0.588 0.780
F18 0.464 0.588 0.248
F19 0.464 0.751 0.519
F20 0.490 0.283 0.514
F21 0.510 0.717 0.014
F22 0.536 0.249 0.019
F23 0.536 0.412 0.748
F24 0.546 0.412 0.280
F25 0.607 0.878 0.733
F26 0.610 0.869 0.297
F27 0.640 0.043 0.012
F28 0.736 0.164 0.763
F29 0.737 0.535 0.028
F30 0.738 0.160 0.259
F31 0.762 0.660 0.759
F32 0.763 0.035 0.528
F33 0.764 0.664 0.263
F34 0.860 0.543 0.512
F35 0.890 0.369 0.797
F36 0.893 0.378 0.233
F37 0.954 0.912 0.780
F38 0.964 0.749 0.519
F39 0.964 0.912 0.248
F40 0.990 0.217 0.514

=====

(3)
Crystalline Li2VF7 at its relaxed geometry, computed with PBE+U.

## Properties
energy above the lowest structure with this stoichiometry = 0.042 eV per atom
space group = Imm2, No. 44
ΔE_f = -2.9032 eV per atom
electronic total energy = -0.3704 Ry/atom

Cell: 5.914 5.914 5.914 Å, 120.29 115.41 93.82°
Positions (direct):
Li1 0.242 0.000 0.242
Li2 0.758 0.000 0.758
V1 0.128 0.628 0.500
F1 0.340 0.418 0.484
F2 0.340 0.856 0.922
F3 0.367 0.867 0.500
F4 0.893 0.893 0.000
F5 0.912 0.412 0.500
F6 0.934 0.418 0.078
F7 0.934 0.856 0.516

=====

(4)
Crystalline Li3VF6 at its relaxed geometry, computed with PBE+U.

## Properties
energy above the lowest structure with this stoichiometry = 0.295 eV per atom
space group = Fm-3m, No. 225
ΔE_f = -2.9166 eV per atom
electronic total energy = -0.3748 Ry/atom

Cell: 5.496 5.496 5.496 Å, 60.00 60.00 60.00°
Positions (direct):
Li1 0.000 0.000 0.000
Li2 0.250 0.250 0.250
Li3 0.750 0.750 0.750
V1 0.500 0.500 0.500
F1 0.252 0.252 0.748
F2 0.252 0.748 0.252
F3 0.252 0.748 0.748
F4 0.748 0.252 0.252
F5 0.748 0.252 0.748
F6 0.748 0.748 0.252

=====

(5)
Crystalline LiVF5 at its relaxed geometry, computed with PBE+U.

## Properties
energy above the lowest structure with this stoichiometry = 0.066 eV per atom
space group = C2/c, No. 15
ΔE_f = -3.0296 eV per atom
electronic total energy = -0.3965 Ry/atom

Cell: 5.257 5.257 6.795 Å, 108.00 108.00 75.32°
Positions (direct):
Li1 0.000 0.000 0.000
Li2 0.000 0.000 0.500
V1 0.445 0.555 0.750
V2 0.555 0.445 0.250
F1 0.158 0.842 0.750
F2 0.218 0.300 0.639
F3 0.300 0.218 0.139
F4 0.324 0.663 0.059
F5 0.337 0.676 0.441
F6 0.663 0.324 0.559
F7 0.676 0.337 0.941
F8 0.700 0.782 0.861
F9 0.782 0.700 0.361
F10 0.842 0.158 0.250

=====

(6)
Crystalline LiVF5 at its relaxed geometry, computed with PBE+U.

## Properties
energy above the lowest structure with this stoichiometry = 0.000 eV per atom
space group = C2/c, No. 15
ΔE_f = -3.0953 eV per atom
electronic total energy = -0.4013 Ry/atom

Cell: 5.300 5.300 7.610 Å, 111.20 111.20 74.22°
Positions (direct):
Li1 0.020 0.980 0.750
Li2 0.980 0.020 0.250
V1 0.500 0.500 0.000
V2 0.500 0.500 0.500
F1 0.197 0.771 0.542
F2 0.228 0.288 0.874
F3 0.229 0.803 0.958
F4 0.288 0.228 0.374
F5 0.424 0.576 0.250
F6 0.576 0.424 0.750
F7 0.712 0.772 0.626
F8 0.771 0.197 0.042
F9 0.772 0.712 0.126
F10 0.803 0.229 0.458

=====

(7)
Crystalline Li3VF6 at its relaxed geometry, computed with PBE+U.

## Properties
energy above the lowest structure with this stoichiometry = 0.031 eV per atom
space group = P2_1/c, No. 14
ΔE_f = -3.1799 eV per atom
electronic total energy = -0.3941 Ry/atom

Cell: 5.185 5.227 9.319 Å, 90.00 123.42 90.00°
Positions (direct):
Li1 0.000 0.000 0.000
Li2 0.000 0.500 0.500
Li3 0.222 0.031 0.736
Li4 0.222 0.469 0.236
Li5 0.778 0.531 0.764
Li6 0.778 0.969 0.264
V1 0.500 0.000 0.500
V2 0.500 0.500 0.000
F1 0.133 0.095 0.262
F2 0.133 0.405 0.762
F3 0.231 0.671 0.057
F4 0.231 0.829 0.557
F5 0.427 0.182 0.083
F6 0.427 0.318 0.583
F7 0.573 0.682 0.417
F8 0.573 0.818 0.917
F9 0.769 0.171 0.443
F10 0.769 0.329 0.943
F11 0.867 0.595 0.238
F12 0.867 0.905 0.738

=====

(8)
Crystalline Li4VF7 at its relaxed geometry, computed with PBE+U.

## Properties
energy above the lowest structure with this stoichiometry = 0.062 eV per atom
space group = C2/c, No. 15
ΔE_f = -3.1287 eV per atom
electronic total energy = -0.3842 Ry/atom

Cell: 7.693 7.693 5.543 Å, 100.43 100.43 69.11°
Positions (direct):
Li1 0.074 0.194 0.236
Li2 0.194 0.074 0.736
Li3 0.245 0.443 0.665
Li4 0.443 0.245 0.165
Li5 0.557 0.755 0.835
Li6 0.755 0.557 0.335
Li7 0.806 0.926 0.264
Li8 0.926 0.806 0.764
V1 0.271 0.729 0.250
V2 0.729 0.271 0.750
F1 0.053 0.947 0.250
F2 0.116 0.280 0.566
F3 0.166 0.650 0.907
F4 0.280 0.116 0.066
F5 0.305 0.496 0.356
F6 0.350 0.834 0.593
F7 0.496 0.305 0.856
F8 0.504 0.695 0.144
F9 0.650 0.166 0.407
F10 0.695 0.504 0.644
F11 0.720 0.884 0.934
F12 0.834 0.350 0.093
F13 0.884 0.720 0.434
F14 0.947 0.053 0.750

=====

(9)
Crystalline Li2VF4 at its relaxed geometry, computed with PBE+U.

## Properties
energy above the lowest structure with this stoichiometry = 0.046 eV per atom
space group = Pna2_1, No. 33
ΔE_f = -3.0297 eV per atom
electronic total energy = -0.4013 Ry/atom

Cell: 6.049 9.841 5.416 Å, 90.00 90.00 90.00°
Positions (direct):
Li1 0.025 0.217 0.000
Li2 0.141 0.909 0.112
Li3 0.359 0.409 0.612
Li4 0.475 0.717 0.500
Li5 0.525 0.283 0.000
Li6 0.641 0.591 0.112
Li7 0.859 0.091 0.612
Li8 0.975 0.783 0.500
V1 0.159 0.610 0.968
V2 0.341 0.110 0.468
V3 0.659 0.890 0.968
V4 0.841 0.390 0.468
F1 0.069 0.237 0.347
F2 0.082 0.968 0.498
F3 0.094 0.509 0.627
F4 0.216 0.731 0.287
F5 0.284 0.231 0.787
F6 0.406 0.009 0.127
F7 0.418 0.468 0.998
F8 0.431 0.737 0.847
F9 0.569 0.263 0.347
F10 0.582 0.532 0.498
F11 0.594 0.991 0.627
F12 0.716 0.769 0.287
F13 0.784 0.269 0.787
F14 0.906 0.491 0.127
F15 0.918 0.032 0.998
F16 0.931 0.763 0.847

=====

(10)
Crystalline LiVF5 at its relaxed geometry, computed with PBE+U.

## Properties
energy above the lowest structure with this stoichiometry = 0.019 eV per atom
space group = I4_1/a, No. 88
ΔE_f = -3.0768 eV per atom
electronic total energy = -0.4000 Ry/atom

Cell: 10.634 10.634 10.634 Å, 95.84 95.84 142.80°
Positions (direct):
Li1 0.139 0.860 0.051
Li2 0.308 0.088 0.449
Li3 0.360 0.808 0.720
Li4 0.412 0.361 0.220
Li5 0.588 0.639 0.780
Li6 0.640 0.192 0.280
Li7 0.692 0.912 0.551
Li8 0.861 0.140 0.949
V1 0.174 0.320 0.458
V2 0.180 0.139 0.854
V3 0.216 0.674 0.354
V4 0.361 0.716 0.042
V5 0.639 0.284 0.958
V6 0.784 0.326 0.646
V7 0.820 0.861 0.146
V8 0.826 0.680 0.542
F1 0.012 0.797 0.444
F2 0.068 0.512 0.714
F3 0.086 0.968 0.678
F4 0.091 0.924 0.907
F5 0.091 0.997 0.180
F6 0.092 0.414 0.383
F7 0.147 0.432 0.944
F8 0.209 0.592 0.178
F9 0.218 0.747 0.995
F10 0.247 0.752 0.529
F11 0.252 0.223 0.505
F12 0.277 0.282 0.029
F13 0.297 0.353 0.786
F14 0.317 0.409 0.333
F15 0.317 0.911 0.320
F16 0.411 0.591 0.594
F17 0.424 0.017 0.833
F18 0.468 0.291 0.883
F19 0.483 0.817 0.407
F20 0.497 0.817 0.906
F21 0.503 0.183 0.094
F22 0.517 0.183 0.593
F23 0.532 0.709 0.117
F24 0.576 0.983 0.167
F25 0.589 0.409 0.406
F26 0.683 0.089 0.680
F27 0.683 0.591 0.667
F28 0.703 0.647 0.214
F29 0.723 0.718 0.971
F30 0.748 0.777 0.495
F31 0.753 0.248 0.471
F32 0.782 0.253 0.005
F33 0.791 0.408 0.822
F34 0.853 0.568 0.056
F35 0.908 0.586 0.617
F36 0.909 0.003 0.820
F37 0.909 0.076 0.093
F38 0.914 0.032 0.322
F39 0.932 0.488 0.286
F40 0.988 0.203 0.556

=====

(11)
Crystalline LiVF6 at its relaxed geometry, computed with PBE+U.

## Properties
space group = P2_1/c, No. 14
ΔE_f = -2.9074 eV per atom
electronic total energy = -0.3791 Ry/atom

Cell: 5.047 5.375 15.218 Å, 90.00 90.72 90.00°
Positions (direct):
Li1 0.225 0.198 0.252
Li2 0.225 0.302 0.752
Li3 0.775 0.698 0.248
Li4 0.775 0.802 0.748
V1 0.258 0.722 0.615
V2 0.258 0.778 0.115
V3 0.742 0.222 0.885
V4 0.742 0.278 0.385
F1 0.029 0.054 0.835
F2 0.029 0.446 0.335
F3 0.092 0.501 0.162
F4 0.092 0.999 0.662
F5 0.110 0.744 0.011
F6 0.110 0.756 0.511
F7 0.396 0.072 0.089
F8 0.396 0.428 0.589
F9 0.410 0.667 0.730
F10 0.410 0.833 0.230
F11 0.456 0.102 0.407
F12 0.456 0.398 0.907
F13 0.544 0.602 0.093
F14 0.544 0.898 0.593
F15 0.590 0.167 0.770
F16 0.590 0.333 0.270
F17 0.604 0.572 0.411
F18 0.604 0.928 0.911
F19 0.890 0.244 0.489
F20 0.890 0.256 0.989
F21 0.908 0.001 0.338
F22 0.908 0.499 0.838
F23 0.971 0.554 0.665
F24 0.971 0.946 0.165

=====

(12)
Crystalline Li4VF6 at its relaxed geometry, computed with PBE+U.

## Properties
energy above the lowest structure with this stoichiometry = 0.037 eV per atom
space group = Pbam, No. 55
ΔE_f = -3.0259 eV per atom
electronic total energy = -0.3810 Ry/atom

Cell: 7.598 14.152 3.258 Å, 90.00 90.00 90.00°
Positions (direct):
Li1 0.001 0.244 0.000
Li2 0.248 0.617 0.500
Li3 0.252 0.117 0.500
Li4 0.499 0.744 0.000
Li5 0.501 0.256 0.000
Li6 0.748 0.883 0.500
Li7 0.752 0.383 0.500
Li8 0.999 0.756 0.000
V1 0.000 0.500 0.000
V2 0.500 0.000 0.000
F1 0.063 0.198 0.500
F2 0.114 0.640 0.000
F3 0.177 0.486 0.500
F4 0.323 0.986 0.500
F5 0.386 0.140 0.000
F6 0.437 0.698 0.500
F7 0.563 0.302 0.500
F8 0.614 0.860 0.000
F9 0.677 0.014 0.500
F10 0.823 0.514 0.500
F11 0.886 0.360 0.000
F12 0.937 0.802 0.500